EuGaPt: relaxed, GGA-PBE.

- Space-group type: Pnma, No. 62

Lattice parameters (Å, degrees): 4.554 7.350 7.646 90.00 90.00 90.00
Element x y z (fractional)
Eu: 0.250 0.991 0.309
Eu: 0.250 0.491 0.191
Eu: 0.750 0.009 0.691
Eu: 0.750 0.509 0.809
Ga: 0.250 0.320 0.591
Ga: 0.250 0.820 0.909
Ga: 0.750 0.680 0.409
Ga: 0.750 0.180 0.091
Pt: 0.250 0.187 0.912
Pt: 0.250 0.687 0.588
Pt: 0.750 0.813 0.088
Pt: 0.750 0.313 0.412

MgSi: relaxed, GGA-PBE.

- Space-group type: C2/m, No. 12

Lattice parameters (Å, degrees): 5.878 5.878 10.479 75.29 75.29 40.48
Element x y z (fractional)
Mg: 0.821 0.821 0.089
Mg: 0.179 0.179 0.911
Mg: 0.627 0.627 0.688
Mg: 0.373 0.373 0.312
Mg: 0.903 0.903 0.759
Mg: 0.097 0.097 0.241
Si: 0.691 0.691 0.382
Si: 0.890 0.890 0.481
Si: 0.554 0.554 0.082
Si: 0.446 0.446 0.918
Si: 0.309 0.309 0.618
Si: 0.110 0.110 0.519

MgScS3: relaxed, GGA-PBE.

- E above lowest polymorph: 0 meV per atom

Lattice parameters (Å, degrees): 6.451 6.451 17.550 90.00 90.00 120.00
Element x y z (fractional)
Mg: 0.000 0.000 0.150
Mg: 0.000 0.000 0.850
Mg: 0.667 0.333 0.484
Mg: 0.667 0.333 0.183
Mg: 0.333 0.667 0.817
Mg: 0.333 0.667 0.516
Sc: 0.000 0.000 0.341
Sc: 0.000 0.000 0.659
Sc: 0.667 0.333 0.675
Sc: 0.667 0.333 0.992
Sc: 0.333 0.667 0.008
Sc: 0.333 0.667 0.325
S: 0.977 0.326 0.583
S: 0.023 0.674 0.417
S: 0.674 0.651 0.583
S: 0.326 0.349 0.417
S: 0.349 0.023 0.583
S: 0.651 0.977 0.417
S: 0.644 0.659 0.916
S: 0.690 0.008 0.750
S: 0.341 0.985 0.916
S: 0.992 0.682 0.750
S: 0.015 0.356 0.916
S: 0.318 0.310 0.750
S: 0.310 0.992 0.250
S: 0.356 0.341 0.084
S: 0.008 0.318 0.250
S: 0.659 0.015 0.084
S: 0.682 0.690 0.250
S: 0.985 0.644 0.084

H16AuC12S2N3O4: relaxed, GGA-PBE.

- E above lowest polymorph: 4 meV per atom
- Space-group type: P-1, No. 2

Lattice parameters (Å, degrees): 5.902 9.188 16.726 102.98 96.54 99.53
Element x y z (fractional)
H: 0.933 0.914 0.292
H: 0.067 0.086 0.708
H: 0.891 0.950 0.397
H: 0.109 0.050 0.603
H: 0.277 0.776 0.935
H: 0.723 0.224 0.065
H: 0.077 0.628 0.952
H: 0.923 0.372 0.048
H: 0.379 0.400 0.354
H: 0.621 0.600 0.646
H: 0.326 0.539 0.441
H: 0.674 0.461 0.559
H: 0.131 0.357 0.404
H: 0.869 0.643 0.596
H: 0.112 0.345 0.218
H: 0.888 0.655 0.782
H: 0.881 0.296 0.275
H: 0.119 0.704 0.725
H: 0.865 0.436 0.216
H: 0.135 0.564 0.784
H: 0.814 0.491 0.393
H: 0.186 0.509 0.607
H: 0.013 0.671 0.428
H: 0.987 0.329 0.572
H: 0.819 0.628 0.331
H: 0.181 0.372 0.669
H: 0.148 0.688 0.265
H: 0.852 0.312 0.735
H: 0.359 0.716 0.357
H: 0.641 0.284 0.643
H: 0.373 0.578 0.263
H: 0.627 0.422 0.737
Au: 0.116 0.983 0.150
Au: 0.884 0.017 0.850
C: 0.405 0.084 0.338
C: 0.595 0.916 0.662
C: 0.214 0.039 0.378
C: 0.786 0.961 0.622
C: 0.609 0.776 0.073
C: 0.391 0.224 0.927
C: 0.387 0.690 0.032
C: 0.613 0.310 0.968
C: 0.549 0.167 0.418
C: 0.451 0.833 0.582
C: 0.349 0.116 0.461
C: 0.651 0.884 0.539
C: 0.610 0.688 0.137
C: 0.390 0.312 0.863
C: 0.376 0.593 0.091
C: 0.624 0.407 0.909
C: 0.246 0.447 0.386
C: 0.754 0.553 0.614
C: 0.981 0.387 0.254
C: 0.019 0.613 0.746
C: 0.923 0.581 0.373
C: 0.077 0.419 0.627
C: 0.257 0.633 0.301
C: 0.743 0.367 0.699
S: 0.464 0.061 0.240
S: 0.536 0.939 0.760
S: 0.784 0.923 0.052
S: 0.216 0.077 0.948
N: 0.998 0.962 0.354
N: 0.002 0.038 0.646
N: 0.243 0.692 0.965
N: 0.757 0.308 0.035
N: 0.102 0.512 0.328
N: 0.898 0.488 0.672
O: 0.745 0.250 0.441
O: 0.255 0.750 0.559
O: 0.312 0.134 0.534
O: 0.688 0.866 0.466
O: 0.743 0.692 0.201
O: 0.257 0.308 0.799
O: 0.236 0.483 0.099
O: 0.764 0.517 0.901

Pb3O: relaxed, GGA-PBE.

- Space-group type: Pm-3m, No. 221

Lattice parameters (Å, degrees): 4.672 4.672 4.672 90.00 90.00 90.00
Element x y z (fractional)
Pb: 0.500 0.000 0.500
Pb: 0.000 0.500 0.500
Pb: 0.500 0.500 0.000
O: 0.000 0.000 0.000

ThZn11: relaxed, GGA-PBE.

- Space-group type: Pmmm, No. 47

Lattice parameters (Å, degrees): 4.376 5.121 9.303 90.00 90.00 90.00
Element x y z (fractional)
Th: 0.000 0.500 0.000
Zn: 0.000 0.500 0.353
Zn: 0.000 0.000 0.787
Zn: 0.000 0.000 0.213
Zn: 0.000 0.500 0.647
Zn: 0.500 0.500 0.500
Zn: 0.500 0.000 0.000
Zn: 0.500 0.739 0.236
Zn: 0.500 0.261 0.764
Zn: 0.500 0.261 0.236
Zn: 0.500 0.739 0.764
Zn: 0.000 0.000 0.500

CeCu2Sn2: relaxed, GGA-PBE.

- Space-group type: P4/nmm, No. 129

Lattice parameters (Å, degrees): 4.472 4.472 10.540 90.00 90.00 90.00
Element x y z (fractional)
Ce: 0.000 0.500 0.237
Ce: 0.500 0.000 0.763
Cu: 0.000 0.000 0.000
Cu: 0.500 0.500 0.000
Cu: 0.000 0.500 0.634
Cu: 0.500 0.000 0.366
Sn: 0.000 0.000 0.500
Sn: 0.500 0.500 0.500
Sn: 0.000 0.500 0.873
Sn: 0.500 0.000 0.127

VS2: relaxed, GGA-PBE.

- Space-group type: P6_3/mmc, No. 194

Lattice parameters (Å, degrees): 3.180 3.180 14.430 90.00 90.00 120.00
Element x y z (fractional)
V: 0.667 0.333 0.750
V: 0.333 0.667 0.250
S: 0.333 0.667 0.853
S: 0.667 0.333 0.353
S: 0.333 0.667 0.647
S: 0.667 0.333 0.147

no.,formation enthalpy at 0 K (meV per atom)
1,-915
2,99
3,-1584
4,-314
5,0
6,-89
7,-364
8,-1202